(1)
# V4Bi6PbO20

A relaxed V4Bi6PbO20 crystal (PBE+U, Materials Project).

formation energy: -63.43 eV per formula unit

abc: 7.2503 8.0863 9.4760
angles: 106.28 94.12 112.30
Closest atoms and distances in Å follow each position.
Space group P-1 (No. 2)
Asymmetric unit:
V (0.0499, 0.2733, 0.2567) x2  4 O 1.73-1.76
V (0.3459, 0.3962, 0.7577) x2  4 O 1.73-1.76
Bi (0.2010, 0.7097, 0.1735) x2  4 O 2.14-2.38
Bi (0.3443, 0.1253, 0.0192) x2  4 O 2.19-2.40
Bi (0.4331, 0.8012, 0.5831) x2  4 O 2.25-2.42
Pb (0.0000, 0.0000, 0.5000) x1  6 O 2.54-2.67
O (0.0626, 0.7992, 0.9306) x2  1 V 1.73
O (0.1057, 0.2479, 0.7731) x2  1 V 1.74
O (0.1316, 0.8327, 0.6453) x2  1 V 1.76
O (0.1614, 0.5215, 0.3318) x2  1 V 1.75
O (0.2328, 0.1808, 0.2540) x2  1 V 1.75
O (0.3382, 0.9073, 0.3958) x2  3 Bi 2.14-2.34
O (0.3547, 0.3047, 0.5709) x2  1 V 1.73
O (0.3766, 0.6330, 0.8080) x2  1 V 1.76
O (0.4510, 0.9683, 0.1335) x2  3 Bi 2.19-2.34
O (0.4674, 0.6235, 0.1300) x2  1 V 1.74

(2)
# BaEuVSnO6

A relaxed BaEuVSnO6 crystal (PBE+U, Materials Project).

formation energy: -26.63 eV per formula unit

abc: 8.1273 8.1273 8.1273
angles: 90.00 90.00 90.00
Closest atoms and distances in Å follow each position.
Space group F-43m (No. 216)
Asymmetric unit:
Ba (0.0000, 0.0000, 0.0000) x4  12 O 2.87
Eu (0.0000, 0.0000, 0.5000) x4  12 O 2.87
V (0.2500, 0.2500, 0.7500) x4  6 O 1.99
Sn (0.2500, 0.2500, 0.2500) x4  6 O 2.07
O (0.0051, 0.2500, 0.7500) x24  1 V 1.99, 1 Sn 2.07

(3)
# Ba2V4Cd3O15

A relaxed Ba2V4Cd3O15 crystal (PBE+U, Materials Project).

formation energy: -57.81 eV per formula unit

abc: 7.3363 10.1225 19.9672
angles: 90.00 90.00 90.00
Closest atoms and distances in Å follow each position.
Space group P2_12_12_1 (No. 19)
Asymmetric unit:
Ba (0.0491, 0.2460, 0.2982) x4  5 O 2.58-2.86
Ba (0.2336, 0.3712, 0.4981) x4  8 O 2.73-2.94
V (0.0577, 0.2814, 0.6669) x4  4 O 1.67-1.84
V (0.1471, 0.5980, 0.3646) x4  4 O 1.71-1.78
V (0.1712, 0.4356, 0.1523) x4  4 O 1.69-1.85
V (0.2302, 0.0243, 0.4932) x4  4 O 1.70-1.82
Cd (0.0680, 0.2576, 0.9875) x4  5 O 2.21-2.43
Cd (0.1283, 0.9078, 0.6674) x4  5 O 2.31-2.48
Cd (0.1493, 0.0972, 0.8206) x4  6 O 2.28-2.43
O (0.0170, 0.7519, 0.9104) x4  1 V 1.67
O (0.0349, 0.9298, 0.3058) x4  1 V 1.73
O (0.0607, 0.1232, 0.1761) x4  1 V 1.75
O (0.0895, 0.1273, 0.4490) x4  1 V 1.71
O (0.1087, 0.9201, 0.5523) x4  1 V 1.82
O (0.1098, 0.8740, 0.7900) x4  1 V 1.77
O (0.1307, 0.8767, 0.0388) x4  1 V 1.70
O (0.1368, 0.0716, 0.9350) x4  1 V 1.80
O (0.1384, 0.1336, 0.7018) x4  1 V 1.75
O (0.1457, 0.6505, 0.4484) x4  1 V 1.76
O (0.1617, 0.3878, 0.0710) x4  1 V 1.69
O (0.1688, 0.3221, 0.8234) x4  1 V 1.78
O (0.1692, 0.6574, 0.6939) x4  1 V 1.72
O (0.2000, 0.4336, 0.3658) x4  1 V 1.71
O (0.2446, 0.6106, 0.1537) x4  2 V 1.84-1.85

(4)
# Rb3FeO3

A relaxed Rb3FeO3 crystal (PBE+U, Materials Project).

formation energy: -10.75 eV per formula unit
excess energy over the best structure of this formula in the dataset: 52 meV/atom

abc: 6.8495 14.8876 6.6703
angles: 90.00 118.71 90.00
Closest atoms and distances in Å follow each position.
Space group P2_1/c (No. 14)
Asymmetric unit:
Rb (0.0286, 0.0908, 0.3123) x4  4 O 2.90-3.05
Rb (0.4456, 0.2279, 0.7934) x4  5 O 2.78-3.07
Rb (0.4694, 0.0151, 0.2253) x4  3 O 2.68-2.75
Fe (0.0722, 0.6757, 0.7621) x4  4 O 1.89-2.02
O (0.0458, 0.7426, 0.4895) x4  2 Fe 2.00-2.02
O (0.1596, 0.0901, 0.8185) x4  1 Fe 1.90
O (0.3602, 0.6252, 0.9111) x4  1 Fe 1.89